A relaxed structure of Li2Mn3B3O9. Source: the Materials Project database, functional PBE with a Hubbard U.

a b c (Å): 5.2785 5.8570 12.4227
angles (deg): 92.09 101.92 90.34
With the nearest neighbours (Å) after each atom.
Atoms (fractional coordinates):
Li  0.0982  0.2954  0.0159  4 O 1.95-2.05
Li  0.2386  0.0178  0.6517  4 O 1.90-2.03
Li  0.7614  0.9822  0.3483  4 O 1.90-2.03
Li  0.9018  0.7046  0.9841  4 O 1.95-2.05
Mn  0.0470  0.5250  0.2268  5 O 2.13-2.28
Mn  0.2955  0.7915  0.4531  5 O 2.00-2.19
Mn  0.3778  0.8660  0.8820  5 O 2.03-2.13
Mn  0.6222  0.1340  0.1180  5 O 2.03-2.13
Mn  0.7045  0.2085  0.5469  5 O 2.00-2.19
Mn  0.9530  0.4750  0.7732  5 O 2.13-2.28
B  0.1482  0.3000  0.4440  3 O 1.36-1.41
B  0.1917  0.0184  0.2287  3 O 1.37-1.41
B  0.4730  0.6328  0.0992  3 O 1.37-1.42
B  0.5270  0.3672  0.9008  3 O 1.37-1.42
B  0.8083  0.9816  0.7713  3 O 1.37-1.41
B  0.8518  0.7000  0.5560  3 O 1.36-1.41
O  0.0338  0.1604  0.1552  1 B 1.40
O  0.0745  0.8780  0.2943  1 B 1.41
O  0.1143  0.7256  0.5751  1 B 1.36
O  0.2099  0.6112  0.0878  1 B 1.37
O  0.2569  0.4665  0.3891  1 B 1.40
O  0.3094  0.1486  0.5119  1 B 1.41
O  0.3543  0.5212  0.8440  1 B 1.39
O  0.4152  0.1971  0.9560  1 B 1.42
O  0.4547  0.0179  0.2389  1 B 1.37
O  0.5453  0.9821  0.7611  1 B 1.37
O  0.5848  0.8029  0.0440  1 B 1.42
O  0.6457  0.4788  0.1560  1 B 1.39
O  0.6906  0.8514  0.4881  1 B 1.41
O  0.7431  0.5335  0.6109  1 B 1.40
O  0.7901  0.3888  0.9122  1 B 1.37
O  0.8857  0.2744  0.4249  1 B 1.36
O  0.9255  0.1220  0.7057  1 B 1.41
O  0.9662  0.8396  0.8448  1 B 1.40

Properties
* final energy: -7.430 eV per atom
* formation energy from the elements: -41.62 eV per formula unit
* calculated volume: 375 Å³ per cell

***

A relaxed structure of Li5Mn6B6O18. Source: the Materials Project database, functional PBE with a Hubbard U.

a b c (Å): 8.8348 8.8787 10.4345
angles (deg): 98.22 98.72 108.44
With the nearest neighbours (Å) after each atom.
Atoms (fractional coordinates):
Li  0.0000  0.0000  0.0000  1 O 1.60
Li  0.0493  0.7301  0.4668  1 O 1.80
Li  0.1865  0.4547  0.8806  1 O 1.72
Li  0.2437  0.2439  0.2477  1 O 1.57
Li  0.3001  0.9795  0.7234  1 O 1.87
Li  0.4404  0.7036  0.1225  1 O 1.77
Li  0.4929  0.4891  0.4887  1 O 1.53
Li  0.6933  0.9553  0.3748  1 O 1.75
Li  0.7912  0.4794  0.2181  1 O 1.71
Li  0.9370  0.2075  0.6302  1 O 1.79
Mn  0.0584  0.0202  0.3840  2 O 1.81-1.98
Mn  0.1160  0.7596  0.8422  1 O 1.84
Mn  0.1757  0.5305  0.2435  2 O 1.73-1.90
Mn  0.3020  0.2669  0.6490  2 O 1.85-1.99
Mn  0.3812  0.0056  0.0918  2 O 1.95-2.06
Mn  0.4362  0.7758  0.4942  2 O 1.78-1.89
Mn  0.5530  0.5233  0.8727  2 O 1.61-1.76
Mn  0.6310  0.2505  0.3382  3 O 1.93-2.13
Mn  0.6811  0.0218  0.7460  2 O 1.82-1.86
Mn  0.8029  0.7723  0.1277  1 O 1.74
Mn  0.8751  0.5090  0.5922  2 O 1.92-2.11
Mn  0.9040  0.2851  0.9966  2 O 1.59-1.61
B  0.1620  0.8078  0.1969  3 O 1.40-1.49
B  0.1845  0.1858  0.9068  3 O 1.37-1.52
B  0.2450  0.5620  0.6220  3 O 1.39-1.54
B  0.4175  0.0600  0.4514  3 O 1.42-1.53
B  0.4518  0.4369  0.1565  3 O 1.42-1.56
B  0.4837  0.8023  0.8659  3 O 1.40-1.48
B  0.6635  0.3193  0.7044  3 O 1.43-1.54
B  0.7015  0.6824  0.3950  3 O 1.36-1.50
B  0.7532  0.0608  0.1172  3 O 1.39-1.50
B  0.9014  0.5506  0.9436  3 O 1.41-1.46
B  0.9592  0.9421  0.6531  3 O 1.41-1.55
B  0.9937  0.3066  0.3668  2 O 1.41-1.44
O  0.0106  0.4650  0.9846  1 B 1.46, 1 Mn 1.61
O  0.0552  0.8116  0.2833  1 B 1.40
O  0.0777  0.8662  0.6561  1 B 1.41
O  0.0998  0.1894  0.0164  1 B 1.46, 1 Li 1.60
O  0.1175  0.2375  0.4018  1 B 1.44
O  0.1417  0.5662  0.7093  1 B 1.39
O  0.1518  0.8831  0.0788  1 B 1.49
O  0.1561  0.2656  0.7907  1 B 1.52
O  0.2296  0.6260  0.4933  1 B 1.54
O  0.2763  0.7280  0.2304  1 B 1.44
O  0.2928  0.1036  0.9094  1 B 1.37
O  0.3145  0.0691  0.5418  1 B 1.42
O  0.3528  0.4233  0.2523  1 B 1.42, 1 Li 1.57
O  0.3692  0.4890  0.6598  1 B 1.47
O  0.3802  0.8161  0.9523  1 B 1.40
O  0.4034  0.1281  0.3254  1 B 1.53
O  0.4157  0.5096  0.0330  1 B 1.56
O  0.4843  0.8744  0.7470  1 B 1.48
O  0.5342  0.9823  0.4882  1 B 1.45
O  0.5626  0.3374  0.7958  1 B 1.43
O  0.5855  0.3806  0.1889  1 B 1.43
O  0.5908  0.7165  0.9055  1 B 1.44
O  0.6021  0.6603  0.4839  1 B 1.36
O  0.6455  0.0648  0.2003  1 B 1.39
O  0.6501  0.3769  0.5719  1 B 1.54
O  0.6694  0.7655  0.2833  1 B 1.50
O  0.7480  0.1336  0.9960  1 B 1.50, 1 Mn 1.59
O  0.7807  0.2424  0.7516  1 B 1.47
O  0.7881  0.5566  0.0242  1 B 1.41
O  0.8340  0.6198  0.4121  1 B 1.44
O  0.8672  0.9819  0.1476  1 B 1.42
O  0.8848  0.9450  0.7678  1 B 1.45
O  0.8943  0.3169  0.4586  1 B 1.41
O  0.9063  0.6236  0.8303  1 B 1.43
O  0.9184  0.0173  0.5327  1 B 1.55
O  0.9684  0.3715  0.2342  1 B 1.59

Properties
* final energy: -7.038 eV per atom
* formation energy from the elements: -75.06 eV per formula unit
* calculated volume: 751 Å³ per cell

***

A relaxed structure of LiMn2B2O6. Source: the Materials Project database, functional PBE with a Hubbard U.

a b c (Å): 5.2366 9.0858 10.3447
angles (deg): 88.52 89.34 88.51
With the nearest neighbours (Å) after each atom.
Atoms (fractional coordinates):
Li  0.0000  0.0000  0.0000  3 O 1.96-2.09
Li  0.0043  0.9839  0.4626  4 O 1.89-2.11
Li  0.6461  0.6297  0.7192  3 O 1.94-2.07
Li  0.7020  0.6370  0.2517  4 O 1.88-2.09
Mn  0.0031  0.3397  0.0214  5 O 1.93-2.10
Mn  0.0428  0.6393  0.5196  5 O 1.95-2.10
Mn  0.1558  0.8311  0.7661  4 O 2.02-2.26
Mn  0.2090  0.4530  0.2767  4 O 2.01-2.21
Mn  0.4834  0.1678  0.5230  5 O 2.03-2.26
Mn  0.5185  0.7962  0.0127  4 O 1.99-2.20
Mn  0.6229  0.9808  0.2693  5 O 1.94-2.13
Mn  0.6829  0.2867  0.7799  5 O 1.94-2.14
B  0.0290  0.6457  0.0343  3 O 1.35-1.41
B  0.1692  0.4885  0.7722  3 O 1.33-1.43
B  0.1686  0.8033  0.2836  3 O 1.35-1.43
B  0.5044  0.1394  0.0233  3 O 1.33-1.43
B  0.5047  0.8216  0.5151  3 O 1.34-1.42
B  0.6626  0.9824  0.7803  3 O 1.36-1.41
B  0.7095  0.3144  0.2666  3 O 1.35-1.40
B  0.9814  0.3057  0.5335  3 O 1.35-1.40
O  0.9996  0.3917  0.8353  1 B 1.41
O  0.0213  0.9267  0.2767  1 B 1.35
O  0.0410  0.6112  0.7097  1 B 1.43
O  0.0638  0.6677  0.3292  1 B 1.43
O  0.0952  0.1725  0.5156  1 B 1.35
O  0.0960  0.4312  0.4824  1 B 1.39
O  0.1383  0.7706  0.9787  1 B 1.39
O  0.1834  0.5192  0.0618  1 B 1.41
O  0.2385  0.8265  0.5442  1 B 1.42
O  0.2508  0.1536  0.0181  1 B 1.33
O  0.4229  0.4716  0.7725  1 B 1.33
O  0.4296  0.7973  0.2486  1 B 1.41
O  0.5152  0.1039  0.7346  1 B 1.41
O  0.5450  0.8475  0.8037  1 B 1.40
O  0.5924  0.4453  0.2881  1 B 1.35
O  0.5969  0.1871  0.3148  1 B 1.39
O  0.6070  0.9528  0.4617  1 B 1.42
O  0.6316  0.0128  0.0796  1 B 1.43
O  0.6560  0.7031  0.5409  1 B 1.34
O  0.6724  0.2433  0.9683  1 B 1.41
O  0.7446  0.3215  0.5962  1 B 1.40
O  0.7778  0.6426  0.0658  1 B 1.35
O  0.9129  0.0005  0.8068  1 B 1.36
O  0.9474  0.3029  0.2045  1 B 1.40

Properties
* final energy: -7.498 eV per atom
* formation energy from the elements: -26.66 eV per formula unit
* calculated volume: 492 Å³ per cell